# Ca3Al2H6SO8F8

A relaxed structure of Ca3Al2H6SO8F8 (PBE, the Materials Project database).

Unit cell a=8.2871 b=8.2871 c=10.1052 alpha=87.04 beta=87.04 gamma=63.35
Closest atoms and distances in Å follow each position.
Fractional coordinates of all 56 atoms:
H (0.6854, 0.4217, 0.3685)  1 O 1.00
S (0.6551, 0.3449, 0.7500)  4 O 1.48-1.51
H (0.8230, 0.3035, 0.4769)  1 O 0.98
S (0.3449, 0.6551, 0.2500)  4 O 1.48-1.51
O (0.8140, 0.3320, 0.3812)  2 H 0.98-1.00
F (0.1370, 0.0445, 0.4224)  1 Al 1.80
Ca (0.0280, 0.4658, 0.3069)  5 F 2.34-2.44, 3 O 2.51-2.57
O (0.4793, 0.5948, 0.3557)  1 S 1.48
F (0.7950, 0.6771, 0.1786)  1 Al 1.88
F (0.3337, 0.1360, 0.0236)  1 Al 1.84
Ca (0.0298, 0.9702, 0.7500)  4 F 2.29-2.32
H (0.2315, 0.5077, 0.0740)  1 O 0.99
F (0.7418, 0.9781, 0.3480)  1 Al 1.84
O (0.4979, 0.1180, 0.5638)  1 H 0.99
H (0.5783, 0.3146, 0.1315)  1 O 1.00
H (0.3035, 0.8230, 0.9769)  1 O 0.98
Ca (0.4658, 0.0280, 0.8069)  5 F 2.34-2.44, 3 O 2.51-2.57
O (0.1180, 0.4979, 0.0638)  1 H 0.99
H (0.4217, 0.6854, 0.8685)  1 O 1.00
F (0.2582, 0.0219, 0.6520)  1 Al 1.84
Ca (0.5342, 0.9720, 0.1931)  5 F 2.34-2.44, 3 O 2.51-2.57
F (0.8640, 0.6663, 0.4764)  1 Al 1.84
Al (0.8993, 0.6973, 0.0130)  4 F 1.80-1.88, 2 O 1.89-1.90
F (0.8630, 0.9555, 0.5776)  1 Al 1.80
F (0.2050, 0.3229, 0.8214)  1 Al 1.88
O (0.4052, 0.5207, 0.1443)  1 S 1.48
H (0.3146, 0.5783, 0.6315)  1 O 1.00
O (0.3320, 0.8140, 0.8812)  2 H 0.98-1.00
H (0.7685, 0.4923, 0.9260)  1 O 0.99
F (0.0445, 0.1370, 0.9224)  1 Al 1.80
O (0.5207, 0.4052, 0.6443)  1 S 1.48
O (0.3193, 0.8346, 0.1897)  1 S 1.51
O (0.8346, 0.3193, 0.6897)  1 S 1.51
F (0.3229, 0.2050, 0.3214)  1 Al 1.88
F (0.9555, 0.8630, 0.0776)  1 Al 1.80
O (0.8820, 0.5021, 0.9362)  1 H 0.99
O (0.6680, 0.1860, 0.1188)  2 H 0.98-1.00
O (0.6807, 0.1654, 0.8103)  1 S 1.51
O (0.1654, 0.6807, 0.3103)  1 S 1.51
F (0.1360, 0.3337, 0.5236)  1 Al 1.84
Al (0.1007, 0.3027, 0.9870)  4 F 1.80-1.88, 2 O 1.89-1.90
H (0.4923, 0.7685, 0.4260)  1 O 0.99
O (0.5948, 0.4793, 0.8557)  1 S 1.48
Ca (0.9702, 0.0298, 0.2500)  4 F 2.29-2.32
F (0.6771, 0.7950, 0.6786)  1 Al 1.88
F (0.0219, 0.2582, 0.1520)  1 Al 1.84
Al (0.3027, 0.1007, 0.4870)  4 F 1.80-1.88, 2 O 1.89-1.90
H (0.1770, 0.6965, 0.5231)  1 O 0.98
F (0.9781, 0.7418, 0.8480)  1 Al 1.84
H (0.6965, 0.1770, 0.0231)  1 O 0.98
Al (0.6973, 0.8993, 0.5130)  4 F 1.80-1.88, 2 O 1.89-1.90
Ca (0.9720, 0.5342, 0.6931)  5 F 2.34-2.44, 3 O 2.51-2.57
O (0.5021, 0.8820, 0.4362)  1 H 0.99
H (0.5077, 0.2315, 0.5740)  1 O 0.99
O (0.1860, 0.6680, 0.6188)  2 H 0.98-1.00
F (0.6663, 0.8640, 0.9764)  1 Al 1.84

Values from the calculation:
Crystal system: monoclinic
Calculated volume in Å³/cell: 619
ΔH_f (0 K) in kJ/mol of atoms: -274